Record 1
DyHoIn2 after structural relaxation. Source: the Materials Project database, functional PBE-GGA.

The structure in POSCAR format:
```
DyHoIn2
1.0
0.000 3.765 3.765
3.765 0.000 3.765
3.765 3.765 0.000
Dy Ho In
1 1 2
Direct
0.000 0.000 0.000
0.500 0.500 0.500
0.250 0.250 0.250
0.750 0.750 0.750
```

Its total energy is -4.1239 eV per atom. Its crystal system is cubic. The formation energy comes out at -0.451 eV per atom.

=====

Record 2
K2RbTmCl6 after structural relaxation. Source: the Materials Project database, functional PBE-GGA.

The structure in POSCAR format:
```
K2RbTmCl6
1.0
0.000 5.695 5.695
5.695 0.000 5.695
5.695 5.695 0.000
K Rb Tm Cl
2 1 1 6
Direct
0.250 0.250 0.250
0.750 0.750 0.750
0.000 0.000 0.000
0.500 0.500 0.500
0.272 0.272 0.728
0.272 0.728 0.272
0.272 0.728 0.728
0.728 0.272 0.272
0.728 0.272 0.728
0.728 0.728 0.272
```

Its total energy is -3.9166 eV per atom. Its crystal system is cubic. For the total energy after the MP2020 corrections, the calculation gives -4.29 eV per atom. The formation energy comes out at -2.408 eV per atom.

=====

Record 3
LuCoC2 after structural relaxation. Source: the Materials Project database, functional PBE-GGA.

The structure in POSCAR format:
```
LuCoC2
1.0
3.434 0.000 0.000
0.000 2.238 2.964
0.000 -2.238 2.964
Lu Co C
1 1 2
Direct
0.000 0.000 0.000
0.500 0.617 0.617
0.500 0.152 0.460
0.500 0.460 0.152
```

Its total energy is -7.8858 eV per atom. Its crystal system is orthorhombic. The formation energy comes out at -0.364 eV per atom.